Record 1
Here is a geometry-optimized CeMg2 structure from the Materials Project database. Energies are from PBE.

Geometry as POSCAR:
```
CeMg2
1.0
3.1669 -5.4487 0.0000
3.1669 5.4487 0.0000
0.0000 0.0000 10.6179
Ce Mg
4 8
Direct
0.1671 0.8329 0.5693
0.1671 0.8329 0.9307
0.8329 0.1671 0.0693
0.8329 0.1671 0.4307
0.1580 0.3291 0.7500
0.3291 0.1580 0.2500
0.3291 0.6709 0.2500
0.5000 0.5000 0.0000
0.5000 0.5000 0.5000
0.6709 0.3291 0.7500
0.6709 0.8420 0.7500
0.8420 0.6709 0.2500
```

Output
E_form = 0.071 eV/atom
Space-group type = Cmcm (63)
Calculated density = 3.421 g/cm3
Size of the total moment = 5.7 Bohr magnetons per cell

Record 2
Here is a geometry-optimized Li3PdF6 structure from the Materials Project database. Energies are from PBE.

Geometry as POSCAR:
```
Li3PdF6
1.0
0.0000 3.9797 3.9797
3.9797 0.0000 3.9797
3.9797 3.9797 0.0000
Li Pd F
3 1 6
Direct
0.0000 0.0000 0.0000
0.2500 0.2500 0.2500
0.7500 0.7500 0.7500
0.5000 0.5000 0.5000
0.2454 0.2454 0.7546
0.2454 0.7546 0.2454
0.2454 0.7546 0.7546
0.7546 0.2454 0.2454
0.7546 0.2454 0.7546
0.7546 0.7546 0.2454
```

Output
E_form = -2.293 eV/atom
Space-group type = Fm-3m (225)
Calculated density = 3.178 g/cm3
Size of the total moment = 1.0 Bohr magnetons per cell

Record 3
Here is a geometry-optimized MgZn4Se8O20 structure from the Materials Project database. Energies are from PBE.

Geometry as POSCAR:
```
MgZn4Se8O20
1.0
6.2745 0.0000 0.0000
0.2890 6.9388 0.0000
0.7937 0.8242 10.9614
Mg Zn Se O
1 4 8 20
Direct
0.0000 0.0000 0.0000
0.2023 0.0744 0.6794
0.2731 0.6492 0.2059
0.7171 0.0579 0.7955
0.7619 0.6286 0.3215
0.0268 0.9875 0.4120
0.0447 0.6546 0.8702
0.0632 0.2957 0.1341
0.4624 0.2481 0.4204
0.5094 0.7420 0.5961
0.5192 0.9833 0.1023
0.5325 0.4763 0.9134
0.9447 0.4684 0.5984
0.0320 0.9289 0.8219
0.0566 0.7823 0.3350
0.1248 0.9024 0.5479
0.2654 0.1210 0.3404
0.2751 0.8981 0.0665
0.3032 0.5806 0.8095
0.3180 0.2994 0.5529
0.4114 0.4779 0.0535
0.4590 0.4641 0.3338
0.5038 0.2456 0.8724
0.5116 0.9443 0.6857
0.5564 0.7917 0.2112
0.6526 0.8184 0.4667
0.6980 0.9106 0.9823
0.7074 0.5923 0.6773
0.8397 0.4158 0.4677
0.8816 0.1237 0.1865
0.9248 0.2524 0.6887
0.9798 0.5228 0.1892
0.9936 0.3028 0.9824
```

Output
E_form = -1.391 eV/atom
Space-group type = P1 (1)
Calculated density = 4.306 g/cm3
Offset from the most stable computed form = 10 meV per atom
Size of the total moment = 0.0 Bohr magnetons per cell

Record 4
Here is a geometry-optimized MgAl2Ga2Cu4As4O20 structure from the Materials Project database. Energies are from PBE.

Geometry as POSCAR:
```
MgAl2Ga2Cu4As4O20
1.0
5.6295 0.0000 0.0000
-1.6944 7.4568 0.0000
-0.0897 -0.0326 10.5029
Mg Al Ga Cu As O
1 2 2 4 4 20
Direct
0.0000 0.0000 0.0000
0.1049 0.7439 0.3532
0.5097 0.0052 0.8502
0.0118 0.0091 0.6990
0.6060 0.7432 0.2150
0.1418 0.4142 0.1770
0.4752 0.3402 0.6767
0.6376 0.4115 0.3884
0.9702 0.3722 0.8817
0.1098 0.1505 0.4187
0.5134 0.6116 0.9272
0.5936 0.1484 0.1395
0.9954 0.6012 0.6349
0.1230 0.4454 0.7119
0.1342 0.9765 0.3162
0.1774 0.7087 0.5144
0.2437 0.5052 0.0001
0.2871 0.6554 0.2469
0.3270 0.1042 0.7524
0.3885 0.0469 0.0111
0.3907 0.2403 0.4867
0.4397 0.7702 0.8278
0.4899 0.3177 0.2072
0.6373 0.9882 0.2445
0.6390 0.4532 0.8538
0.7126 0.5024 0.5712
0.7215 0.7534 0.0399
0.8028 0.6424 0.3131
0.8325 0.0709 0.8386
0.8810 0.2170 0.0680
0.9102 0.0582 0.5395
0.9542 0.7667 0.7405
0.9896 0.3076 0.3399
```

Output
E_form = -1.875 eV/atom
Space-group type = P1 (1)
Calculated density = 4.111 g/cm3
Offset from the most stable computed form = 19 meV per atom
Size of the total moment = 2.0 Bohr magnetons per cell

Question: The lowest calculated density belongs to which entry?
Answer: Li3PdF6

Question: The highest calculated density belongs to which entry?
Answer: MgZn4Se8O20